Computed, not measured: an optimized crystal structure of MgH14SO11 at the GGA-PBE level of DFT.

abc: 6.805 11.993 12.081
angles: 90.00 90.00 90.00
Atoms (fractional coordinates):
Mg1 0.038 0.081 0.393
Mg2 0.462 0.919 0.893
Mg3 0.538 0.419 0.607
Mg4 0.962 0.581 0.107
H1 0.018 0.016 0.132
H2 0.022 0.895 0.528
H3 0.035 0.637 0.892
H4 0.038 0.565 0.485
H5 0.102 0.267 0.275
H6 0.104 0.904 0.999
H7 0.131 0.765 0.201
H8 0.175 0.779 0.969
H9 0.189 0.423 0.726
H10 0.196 0.921 0.725
H11 0.199 0.879 0.445
H12 0.233 0.582 0.942
H13 0.241 0.048 0.745
H14 0.241 0.546 0.685
H15 0.259 0.454 0.185
H16 0.259 0.952 0.245
H17 0.267 0.418 0.442
H18 0.301 0.121 0.945
H19 0.304 0.079 0.225
H20 0.311 0.577 0.226
H21 0.325 0.221 0.469
H22 0.369 0.235 0.701
H23 0.396 0.096 0.499
H24 0.398 0.733 0.775
H25 0.462 0.435 0.985
H26 0.465 0.363 0.392
H27 0.478 0.105 0.028
H28 0.482 0.984 0.632
H29 0.518 0.484 0.868
H30 0.522 0.605 0.472
H31 0.535 0.863 0.108
H32 0.538 0.935 0.515
H33 0.602 0.233 0.725
H34 0.604 0.596 0.001
H35 0.631 0.735 0.799
H36 0.675 0.721 0.031
H37 0.689 0.077 0.274
H38 0.696 0.579 0.275
H39 0.699 0.621 0.555
H40 0.733 0.918 0.058
H41 0.741 0.452 0.255
H42 0.741 0.954 0.315
H43 0.759 0.046 0.815
H44 0.759 0.548 0.755
H45 0.767 0.082 0.558
H46 0.801 0.379 0.055
H47 0.804 0.421 0.775
H48 0.811 0.923 0.774
H49 0.825 0.279 0.531
H50 0.869 0.265 0.299
H51 0.896 0.404 0.501
H52 0.898 0.767 0.225
H53 0.962 0.065 0.015
H54 0.965 0.137 0.608
H55 0.978 0.395 0.972
H56 0.982 0.516 0.368
S1 0.003 0.221 0.820
S2 0.497 0.779 0.320
S3 0.503 0.279 0.180
S4 0.997 0.721 0.680
O1 0.002 0.737 0.176
O2 0.013 0.346 0.822
O3 0.053 0.499 0.437
O4 0.072 0.175 0.928
O5 0.076 0.922 0.457
O6 0.115 0.629 0.960
O7 0.133 0.178 0.728
O8 0.197 0.028 0.247
O9 0.202 0.684 0.701
O10 0.206 0.858 0.961
O11 0.228 0.534 0.175
O12 0.272 0.466 0.675
O13 0.294 0.142 0.461
O14 0.298 0.316 0.201
O15 0.303 0.972 0.747
O16 0.367 0.822 0.228
O17 0.385 0.371 0.460
O18 0.424 0.078 0.957
O19 0.428 0.825 0.428
O20 0.447 0.501 0.937
O21 0.487 0.654 0.322
O22 0.498 0.263 0.676
O23 0.502 0.763 0.824
O24 0.513 0.154 0.178
O25 0.553 0.001 0.563
O26 0.572 0.325 0.072
O27 0.576 0.578 0.543
O28 0.615 0.871 0.040
O29 0.633 0.322 0.272
O30 0.697 0.472 0.753
O31 0.702 0.816 0.299
O32 0.706 0.642 0.039
O33 0.728 0.966 0.825
O34 0.772 0.034 0.325
O35 0.794 0.358 0.539
O36 0.798 0.184 0.799
O37 0.803 0.528 0.253
O38 0.867 0.678 0.772
O39 0.885 0.129 0.540
O40 0.924 0.422 0.043
O41 0.928 0.675 0.572
O42 0.947 0.999 0.063
O43 0.987 0.846 0.678
O44 0.998 0.237 0.324

Energy of formation from the pure elements (eV per formula unit): -41.30

Computed, not measured: an optimized crystal structure of MgH12S2O12 at the GGA-PBE level of DFT.

abc: 7.635 7.773 7.812
angles: 100.96 98.98 98.24
Atoms (fractional coordinates):
Mg1 0.000 0.000 0.000
H1 0.150 0.069 0.525
H2 0.157 0.128 0.460
H3 0.179 0.643 0.284
H4 0.292 0.713 0.156
H5 0.454 0.086 0.439
H6 0.483 0.934 0.740
H7 0.517 0.066 0.260
H8 0.546 0.914 0.561
H9 0.708 0.287 0.844
H10 0.821 0.357 0.716
H11 0.843 0.872 0.540
H12 0.850 0.931 0.475
S1 0.481 0.541 0.627
S2 0.519 0.459 0.373
O1 0.108 0.869 0.805
O2 0.233 0.603 0.182
O3 0.259 0.976 0.086
O4 0.270 0.887 0.915
O5 0.294 0.464 0.641
O6 0.438 0.897 0.612
O7 0.562 0.103 0.388
O8 0.706 0.536 0.359
O9 0.730 0.113 0.085
O10 0.741 0.024 0.914
O11 0.767 0.397 0.818
O12 0.892 0.131 0.195

Energy of formation from the pure elements (eV per formula unit): -22.85